Entry 1:
Crystalline MgMn6O8F4 at its relaxed geometry, computed with PBE with a Hubbard U.

```
19
Lattice="5.248 -0.276 -0.057 -0.271 5.212 -0.016 -0.101 -0.040 8.784" Properties=species:S:1:pos:R:3 pbc="T T T"
Mg 2.504 0.029 7.066
Mn 0.159 0.036 0.067
Mn 0.242 0.073 2.874
Mn 4.873 4.667 5.673
Mn 2.002 2.641 7.255
Mn 2.882 1.907 1.481
Mn 2.059 2.651 4.404
O 0.605 4.271 1.484
O 0.552 4.125 4.315
O 0.519 4.162 7.264
O 1.819 1.276 8.549
O 1.595 1.419 2.989
O 1.600 1.414 5.861
O 2.922 3.695 5.856
O 4.526 0.712 1.414
F 2.997 3.768 8.543
F 3.287 3.353 2.945
F 4.392 0.605 4.289
F 4.353 0.676 7.180
```

Properties
The space group is P1. The energy relative to the elements comes out at -42.1 eV per formula unit. The calculation puts the relative energy among the computed polymorphs at 98.1 meV per atom. For the total energy, the calculation gives -128.6 eV per formula unit. Its MP2020-corrected energy is -7.68 eV/atom.

=====

Entry 2:
Crystalline NaLi5Fe2P2C2O14 at its relaxed geometry, computed with PBE with a Hubbard U.

```
52
Lattice="-3.286 -1.016 5.552 7.301 -2.453 3.782 1.166 9.741 2.465" Properties=species:S:1:pos:R:3 pbc="T T T"
Na 4.804 6.221 7.739
Na 0.376 0.051 4.059
Li 6.601 3.579 6.333
Li 6.054 -1.205 4.994
Li 5.659 1.823 3.781
Li 4.169 1.364 6.320
Li 6.223 6.695 4.993
Li 1.012 4.907 5.478
Li -0.479 4.449 8.017
Li -1.043 -0.424 6.805
Li -1.420 2.693 5.465
Li -0.873 7.476 6.804
Fe 3.088 3.842 8.289
Fe 2.516 -0.956 7.019
Fe 2.092 2.430 3.509
Fe 2.665 7.228 4.779
P 4.176 4.163 5.116
P 3.638 -0.622 3.827
P 1.005 2.109 6.682
P 1.542 6.893 7.971
C 5.280 2.778 9.314
C 4.617 -2.093 8.130
C -0.100 3.493 2.484
C 0.564 8.364 3.668
O 6.144 1.643 5.810
O 6.912 6.599 6.896
O 5.122 4.065 9.445
O 4.546 -0.803 8.235
O 4.355 2.079 8.718
O 3.701 -2.726 7.446
O 5.592 4.616 4.636
O 4.309 4.138 6.666
O 5.076 -0.182 3.396
O 3.722 -0.615 5.386
O 3.893 2.712 4.608
O 2.133 1.168 7.171
O 4.516 7.677 5.772
O 2.620 5.933 8.508
O 3.048 5.104 4.627
O 1.288 3.559 7.190
O 2.560 0.339 3.290
O 0.665 -1.406 6.026
O 0.872 2.133 5.132
O -0.412 1.656 7.162
O 1.459 6.886 6.412
O 0.105 6.454 8.402
O 0.826 4.193 3.080
O 1.479 8.997 4.352
O 0.059 2.206 2.353
O 0.634 7.075 3.563
O -0.964 4.628 5.988
O -1.732 -0.327 4.902
```

Properties
The space group is P-1. The energy relative to the elements comes out at -60.5 eV per formula unit. The calculation puts the relative energy among the computed polymorphs at 2.3 meV per atom. For the total energy, the calculation gives -172.7 eV per formula unit. Its MP2020-corrected energy is -7.19 eV/atom.

=====

Entry 3:
Crystalline Sr2FeRuO6 at its relaxed geometry, computed with PBE with a Hubbard U.

```
10
Lattice="-4.100 -2.380 -3.012 -5.186 -0.380 2.122 -4.135 3.163 -2.107" Properties=species:S:1:pos:R:3 pbc="T T T"
Sr -3.355 0.101 -0.749
Sr -10.065 0.303 -2.248
Fe 0.000 0.000 0.000
Ru -6.710 0.202 -1.498
O -7.987 -1.267 -1.197
O -5.433 1.670 -1.800
O -5.954 -0.087 0.297
O -7.466 0.490 -3.294
O -5.416 -1.078 -2.249
O -8.005 1.482 -0.748
```

Properties
The space group is Fm-3m. The energy relative to the elements comes out at -22.9 eV per formula unit. For the total energy, the calculation gives -67.4 eV per formula unit. Its MP2020-corrected energy is -7.37 eV/atom.

=====

Entry 4:
Crystalline Co3P4O16 at its relaxed geometry, computed with PBE with a Hubbard U.

```
46
Lattice="-3.305 6.745 -0.253 -6.611 -3.178 1.632 1.245 0.980 9.836" Properties=species:S:1:pos:R:3 pbc="T T T"
Co -5.864 1.504 7.247
Co -3.060 1.686 3.564
Co -6.367 4.403 7.593
Co -6.559 1.130 2.378
Co -0.513 0.154 8.959
Co -4.395 6.283 3.846
P -2.199 5.854 6.194
P -3.407 -0.155 1.679
P -2.792 0.565 6.691
P -6.802 -0.633 4.995
P -6.163 -0.012 9.941
P -4.757 3.666 9.575
P -5.554 3.318 4.549
P -2.936 5.430 1.241
O -1.025 3.603 8.283
O -7.794 1.574 7.440
O 0.696 1.754 8.860
O -8.152 4.096 7.636
O -8.988 3.683 2.829
O -4.076 2.816 4.517
O -3.303 -0.906 6.797
O -1.721 2.905 3.486
O -3.910 1.531 7.070
O -5.212 0.955 10.692
O -6.429 -0.422 3.501
O -5.785 0.057 8.418
O -5.620 4.768 4.079
O 0.044 1.093 3.845
O -2.639 5.779 7.684
O -5.137 5.073 8.865
O -3.952 -1.515 1.897
O -8.567 1.159 2.417
O -6.534 2.379 3.845
O -2.164 0.270 2.668
O -6.576 2.636 1.163
O -5.825 2.885 8.599
O -3.488 5.719 5.376
O -3.266 5.266 2.768
O -3.343 3.253 9.423
O -5.930 0.351 5.782
O -4.306 1.047 2.291
O -5.912 3.181 6.102
O -4.259 5.225 0.462
O -1.727 1.160 10.080
O -1.471 0.807 7.421
O -2.418 0.670 5.139
```

Properties
The space group is P2_1. The energy relative to the elements comes out at -42.9 eV per formula unit. The calculation puts the relative energy among the computed polymorphs at 64.4 meV per atom. For the total energy, the calculation gives -149.2 eV per formula unit. Its MP2020-corrected energy is -7.18 eV/atom.

=====

Entry 5:
Crystalline Li9Mn2Co5O16 at its relaxed geometry, computed with PBE with a Hubbard U.

```
32
Lattice="5.907 0.000 0.000 2.716 7.139 0.000 2.805 2.355 6.793" Properties=species:S:1:pos:R:3 pbc="T T T"
Li 4.259 4.742 0.858
Li 2.827 2.406 1.686
Li 7.173 4.746 5.942
Li 5.684 7.105 0.007
Li 7.247 2.367 4.249
Li 8.595 7.118 5.165
Li 4.182 7.135 2.529
Li 2.750 4.758 3.338
Li 7.204 4.758 0.848
Mn 2.735 7.117 0.025
Mn 5.706 4.737 3.369
Co 5.814 2.392 1.677
Co 7.161 7.071 2.517
Co 4.285 2.363 4.237
Co 5.577 7.110 5.153
Co 4.178 4.785 5.987
O 8.618 6.057 1.605
O 7.029 3.590 2.572
O 5.601 5.895 6.660
O 1.393 1.150 0.782
O 5.641 3.585 4.953
O 6.940 8.380 5.987
O 5.719 1.235 3.286
O 7.055 5.895 4.188
O 5.840 3.453 0.082
O 4.570 1.127 0.829
O 2.871 3.497 5.213
O 10.122 8.353 5.957
O 5.694 8.319 3.486
O 4.297 5.865 4.228
O 5.756 5.950 1.867
O 4.323 3.625 2.610
```

Properties
The space group is P1. The energy relative to the elements comes out at -58.9 eV per formula unit. The calculation puts the relative energy among the computed polymorphs at 24.0 meV per atom. For the total energy, the calculation gives -186.6 eV per formula unit. Its MP2020-corrected energy is -6.53 eV/atom.

=====

Entry 6:
Crystalline ScCrO4 at its relaxed geometry, computed with PBE with a Hubbard U.

```
12
Lattice="5.584 -0.824 -1.084 -1.166 3.542 4.374 -2.270 -5.064 1.497" Properties=species:S:1:pos:R:3 pbc="T T T"
Sc 2.988 -4.107 0.684
Sc -0.840 1.761 4.104
Cr 2.522 -0.430 1.364
Cr -0.374 -1.916 3.423
O 3.938 0.327 0.801
O 1.048 0.162 0.655
O 2.301 -2.065 0.811
O 2.619 -0.257 3.055
O -0.471 -2.089 1.733
O -0.153 -0.281 3.976
O 1.100 -2.508 4.132
O -1.790 -2.674 3.987
```

Properties
The space group is Imma. The energy relative to the elements comes out at -15.8 eV per formula unit. For the total energy, the calculation gives -46.8 eV per formula unit. Its MP2020-corrected energy is -8.59 eV/atom.

=====

Entry 7:
Crystalline Zr2Cr2F3 at its relaxed geometry, computed with PBE with a Hubbard U.

```
14
Lattice="-2.925 -4.059 1.431 -1.222 -6.179 -4.898 2.099 -8.284 3.519" Properties=species:S:1:pos:R:3 pbc="T T T"
Zr -1.101 -4.894 -0.527
Zr -2.230 -9.155 -2.169
Zr -0.638 -10.143 2.083
Zr -0.146 -12.388 -0.004
Cr 1.701 -8.556 3.358
Cr -3.293 -7.042 -0.792
Cr -2.288 -13.890 -1.155
Cr 0.075 -7.536 -0.872
F 0.291 -4.505 1.100
F -0.403 -8.602 0.704
F -1.689 -7.902 -3.740
F 1.435 -6.683 2.548
F -1.785 -10.978 -1.090
F -0.531 -13.836 1.552
```

Properties
The space group is Cm. The energy relative to the elements comes out at -8.5 eV per formula unit. The calculation puts the relative energy among the computed polymorphs at 226.7 meV per atom. For the total energy, the calculation gives -45.3 eV per formula unit. Its MP2020-corrected energy is -7.24 eV/atom.

=====

Entry 8:
Crystalline Li3Fe4P8O28 at its relaxed geometry, computed with PBE with a Hubbard U.

```
86
Lattice="-7.164 -6.443 0.495 0.215 -0.972 -9.694 8.985 -6.599 0.885" Properties=species:S:1:pos:R:3 pbc="T T T"
Li 1.961 -6.089 -8.312
Li 2.227 -6.332 -1.448
Li -3.848 -4.316 -3.609
Li 2.398 -13.199 -7.457
Li -1.689 -8.999 -4.814
Li -1.351 -9.617 -1.796
Fe 4.820 -6.683 -8.156
Fe 5.692 -7.295 -1.179
Fe -0.087 -3.435 -6.650
Fe 0.978 -4.460 -3.714
Fe 1.175 -9.569 -4.726
Fe 2.081 -10.574 -1.711
Fe -3.612 -6.734 -7.085
Fe -2.664 -7.367 0.011
P 6.683 -5.545 -3.653
P 7.298 -7.286 -6.036
P 1.875 -2.873 -8.699
P 2.935 -3.706 -1.000
P 2.607 -6.853 -5.529
P 3.821 -8.243 -3.217
P 3.014 -8.381 0.406
P -1.650 -3.437 -1.778
P 3.767 -10.581 -6.571
P -0.986 -5.620 -8.722
P -1.776 -5.748 -5.099
P -0.587 -7.134 -2.728
P -0.938 -10.284 -7.354
P 0.163 -11.134 0.408
P -5.243 -6.716 -2.235
P -4.648 -8.456 -4.670
O 5.515 -4.630 -3.473
O 5.041 -4.810 -7.708
O 5.980 -5.504 -0.128
O 6.447 -6.395 -4.983
O 6.869 -6.603 -2.535
O 6.276 -7.419 -7.194
O -1.371 -2.074 -6.287
O 0.596 -0.950 -2.410
O 1.802 -2.761 -0.356
O 0.652 -2.019 -8.756
O 1.179 -2.836 -5.006
O 2.348 -4.166 -2.336
O 1.671 -3.916 -7.560
O 3.118 -4.911 -0.063
O 2.258 -5.524 -4.893
O 3.907 -7.085 -2.181
O 3.203 -6.751 -6.953
O 4.363 -7.554 0.485
O 3.773 -7.577 -4.674
O 5.044 -9.083 -3.075
O 5.024 -9.839 -6.330
O 6.980 -8.552 -0.569
O -0.577 -3.575 -2.875
O -0.899 -4.081 -0.495
O -0.432 -4.966 -5.289
O -1.264 -4.360 -7.854
O 0.654 -6.239 -2.684
O 1.854 -7.532 0.001
O 0.192 -6.427 -8.315
O 1.422 -7.840 -5.532
O 3.224 -9.642 -0.476
O 2.453 -9.032 -3.078
O 2.949 -9.936 -7.824
O 2.691 -10.476 -5.452
O -4.966 -5.496 -7.800
O -2.911 -4.220 -1.991
O -3.030 -4.941 -5.193
O -1.684 -6.355 -3.609
O -2.314 -6.475 -8.778
O -1.251 -7.316 -1.357
O -1.920 -6.977 -6.048
O -0.377 -8.506 -3.391
O -1.247 -9.107 -8.265
O 0.285 -10.222 -0.851
O -0.396 -9.883 -5.964
O 0.880 -11.183 -3.338
O 1.426 -11.918 0.536
O 0.264 -11.138 -8.008
O 1.376 -12.984 -5.879
O 3.473 -11.922 -2.023
O -4.257 -6.639 -1.059
O -4.859 -7.392 -5.782
O -4.429 -7.605 -3.322
O -3.937 -8.508 -8.125
O -2.979 -9.275 -0.676
O -3.454 -9.320 -4.853
```

Properties
The space group is P1. The energy relative to the elements comes out at -102.3 eV per formula unit. The calculation puts the relative energy among the computed polymorphs at 9.3 meV per atom. For the total energy, the calculation gives -295.5 eV per formula unit. Its MP2020-corrected energy is -7.53 eV/atom.

=====

Entry 9:
Crystalline Al2FeSiO5 at its relaxed geometry, computed with PBE with a Hubbard U.

```
72
Lattice="0.000 0.000 -5.376 -8.073 -12.240 0.000 -8.073 12.240 0.000" Properties=species:S:1:pos:R:3 pbc="T T T"
Al -5.364 -5.933 -3.398
Al -10.782 5.933 -3.398
Al -10.782 -5.933 -1.978
Al -10.782 -6.306 -4.666
Al -5.364 5.933 -1.978
Al -5.364 6.306 -4.666
Al -5.364 -6.306 -0.710
Al -10.782 6.306 -0.710
Al -9.010 0.982 -3.585
Al -7.136 -0.982 -3.585
Al -7.136 0.982 -1.791
Al -15.209 -0.982 -4.479
Al -9.010 -0.982 -1.791
Al -0.937 0.982 -4.479
Al -0.937 -0.982 -0.897
Al -15.209 0.982 -0.897
Fe -7.309 -8.497 -4.258
Fe -8.837 8.497 -4.258
Fe -8.837 -8.497 -1.118
Fe -8.837 -3.743 -3.806
Fe -7.309 8.497 -1.118
Fe -7.309 3.743 -3.806
Fe -7.309 -3.743 -1.570
Fe -8.837 3.743 -1.570
Si -11.222 3.037 -4.654
Si -4.924 -3.037 -4.654
Si -4.924 3.037 -0.722
Si -12.997 -3.037 -3.410
Si -11.222 -3.037 -0.722
Si -3.149 3.037 -3.410
Si -3.149 -3.037 -1.966
Si -12.997 3.037 -1.966
O -6.218 -6.969 -4.625
O -9.928 6.969 -4.625
O -9.928 -6.969 -0.751
O -9.928 -5.271 -3.439
O -6.218 6.969 -0.751
O -6.218 5.271 -3.439
O -6.218 -5.271 -1.937
O -9.928 5.271 -1.937
O -10.074 1.888 -4.539
O -6.072 -1.888 -4.539
O -6.072 1.888 -0.837
O -14.145 -1.888 -3.525
O -10.074 -1.888 -0.837
O -2.001 1.888 -3.525
O -2.001 -1.888 -1.851
O -14.145 1.888 -1.851
O -10.531 4.514 -4.611
O -5.615 -4.514 -4.611
O -5.615 4.514 -0.765
O -5.615 7.726 -3.453
O -10.531 -4.514 -0.765
O -10.531 -7.726 -3.453
O -10.531 7.726 -1.923
O -5.615 -7.726 -1.923
O -15.221 0.885 -4.425
O -0.925 -0.885 -4.425
O -0.925 0.885 -0.951
O -8.998 -0.885 -3.640
O -15.221 -0.885 -0.951
O -7.148 0.885 -3.640
O -7.148 -0.885 -1.737
O -8.998 0.885 -1.737
O -12.284 2.821 -3.426
O -3.862 -2.821 -3.426
O -3.862 2.821 -1.950
O -11.935 -2.821 -4.638
O -12.284 -2.821 -1.950
O -4.211 2.821 -4.638
O -4.211 -2.821 -0.738
O -11.935 2.821 -0.738
```

Properties
The space group is Ccce. The energy relative to the elements comes out at -21.8 eV per formula unit. For the total energy, the calculation gives -62.2 eV per formula unit. Its MP2020-corrected energy is -7.55 eV/atom.

=====

- The highest energy relative to the elements belongs to which entry?
  Zr2Cr2F3